No. 1
VASP calculation (PBE) on a relaxed structure of Mg2Ti3O8.

abc: 6.039 6.039 4.974
angles: 71.16 71.16 59.43
Sites, in units of the cell vectors:
1 Mg 0.723 0.723 0.345
2 Mg 0.277 0.277 0.655
3 Ti 0.000 0.000 0.500
4 Ti 0.732 0.268 0.000
5 Ti 0.268 0.732 0.000
6 O 0.394 0.394 0.926
7 O 0.606 0.606 0.074
8 O 0.892 0.892 0.921
9 O 0.108 0.108 0.079
10 O 0.341 0.890 0.592
11 O 0.890 0.341 0.592
12 O 0.110 0.659 0.408
13 O 0.659 0.110 0.408

Total magnetization   0.00 μB per atom
Energy with MP2020 corrections   -8.461 eV/atom
E_form   -3.348 eV per atom
Energy above the most stable polymorph in this dataset   0.012 eV per atom

***

No. 2
VASP calculation (PBE) on a relaxed structure of Cd2Sb6S11.

abc: 3.885 9.363 13.270
angles: 86.63 90.00 90.00
Sites, in units of the cell vectors:
1 Cd 0.500 0.748 0.275
2 Cd 0.000 0.281 0.811
3 Sb 0.500 0.246 0.222
4 Sb 0.000 0.735 0.705
5 Sb 0.000 0.555 0.998
6 Sb 0.500 0.445 0.507
7 Sb 0.000 0.076 0.481
8 Sb 0.500 0.944 0.979
9 S 0.000 0.175 0.111
10 S 0.500 0.806 0.591
11 S 0.000 0.654 0.378
12 S 0.500 0.345 0.926
13 S 0.000 0.781 0.105
14 S 0.500 0.190 0.594
15 S 0.500 0.024 0.334
16 S 0.000 0.001 0.844
17 S 0.000 0.322 0.394
18 S 0.500 0.693 0.898
19 S 0.000 0.472 0.656

Total magnetization   0.00 μB per atom
Energy with MP2020 corrections   -4.284 eV/atom
E_form   -0.488 eV per atom

***

No. 3
VASP calculation (PBE) on a relaxed structure of BaLiMg2AlSi3O10F2.

abc: 5.307 5.318 10.296
angles: 95.56 94.66 119.83
Sites, in units of the cell vectors:
1 Ba 0.991 0.991 0.974
2 Li 0.492 0.499 0.506
3 Mg 0.168 0.835 0.503
4 Mg 0.839 0.171 0.502
5 Al 0.258 0.592 0.768
6 Si 0.596 0.259 0.779
7 Si 0.742 0.408 0.229
8 Si 0.409 0.746 0.229
9 O 0.487 0.478 0.844
10 O 0.536 0.536 0.164
11 O 0.942 0.414 0.847
12 O 0.424 0.961 0.847
13 O 0.053 0.570 0.162
14 O 0.570 0.052 0.160
15 O 0.194 0.536 0.600
16 O 0.541 0.197 0.619
17 O 0.799 0.459 0.386
18 O 0.465 0.812 0.386
19 F 0.874 0.876 0.604
20 F 0.118 0.109 0.392

Total magnetization   0.00 μB per atom
Energy with MP2020 corrections   -7.375 eV/atom
E_form   -3.357 eV per atom

***

No. 4
VASP calculation (PBE) on a relaxed structure of MgSi.

abc: 5.418 5.890 14.024
angles: 95.80 93.80 90.79
Sites, in units of the cell vectors:
1 Mg 0.731 0.643 0.762
2 Mg 0.613 0.741 0.097
3 Mg 0.491 0.244 0.435
4 Mg 0.881 0.148 0.774
5 Mg 0.703 0.243 0.095
6 Mg 0.986 0.741 0.432
7 Mg 0.387 0.259 0.903
8 Mg 0.269 0.357 0.238
9 Mg 0.509 0.756 0.565
10 Mg 0.297 0.757 0.905
11 Mg 0.119 0.852 0.226
12 Mg 0.014 0.259 0.568
13 Si 0.239 0.495 0.730
14 Si 0.173 0.488 0.058
15 Si 0.982 0.217 0.373
16 Si 0.351 0.989 0.730
17 Si 0.176 0.065 0.060
18 Si 0.469 0.724 0.368
19 Si 0.824 0.935 0.940
20 Si 0.649 0.011 0.270
21 Si 0.018 0.783 0.627
22 Si 0.827 0.512 0.942
23 Si 0.761 0.505 0.270
24 Si 0.531 0.276 0.632

Total magnetization   0.00 μB per atom
Energy with MP2020 corrections   -3.434 eV/atom
E_form   0.079 eV per atom

***

No. 5
VASP calculation (PBE) on a relaxed structure of Mg3Sn2O7.

abc: 9.685 9.685 5.480
angles: 90.00 90.00 147.48
Sites, in units of the cell vectors:
1 Mg 0.258 0.258 0.284
2 Mg 0.742 0.742 0.784
3 Mg 0.019 0.419 0.195
4 Mg 0.981 0.581 0.695
5 Mg 0.419 0.019 0.195
6 Mg 0.581 0.981 0.695
7 Sn 0.852 0.642 0.247
8 Sn 0.148 0.358 0.747
9 Sn 0.358 0.148 0.747
10 Sn 0.642 0.852 0.247
11 O 0.661 0.077 0.325
12 O 0.339 0.923 0.825
13 O 0.923 0.339 0.825
14 O 0.077 0.661 0.325
15 O 0.446 0.715 0.924
16 O 0.554 0.285 0.424
17 O 0.285 0.554 0.424
18 O 0.715 0.446 0.924
19 O 0.009 0.163 0.079
20 O 0.991 0.837 0.579
21 O 0.619 0.619 0.157
22 O 0.381 0.381 0.657
23 O 0.163 0.009 0.079
24 O 0.837 0.991 0.579

Total magnetization   0.00 μB per atom
Energy with MP2020 corrections   -6.488 eV/atom
E_form   -2.533 eV per atom

***

No. 6
VASP calculation (PBE) on a relaxed structure of SrRuO3.

abc: 5.361 5.361 7.474
angles: 90.00 90.00 144.56
Sites, in units of the cell vectors:
1 Sr 0.750 0.250 0.250
2 Sr 0.250 0.750 0.750
3 Ru 0.000 0.000 0.500
4 Ru 0.000 0.000 0.000
5 O 0.054 0.946 0.250
6 O 0.946 0.054 0.750
7 O 0.378 0.622 0.045
8 O 0.622 0.378 0.955
9 O 0.378 0.622 0.455
10 O 0.622 0.378 0.545

Total magnetization   0.20 μB per atom
Energy with MP2020 corrections   -7.310 eV/atom
E_form   -2.148 eV per atom

***

No. 7
VASP calculation (PBE) on a relaxed structure of ScRhO3.

abc: 5.123 5.542 7.574
angles: 90.00 90.00 90.00
Sites, in units of the cell vectors:
1 Sc 0.534 0.081 0.250
2 Sc 0.466 0.919 0.750
3 Sc 0.966 0.581 0.250
4 Sc 0.034 0.419 0.750
5 Rh 0.500 0.500 0.500
6 Rh 0.500 0.500 0.000
7 Rh 0.000 0.000 0.500
8 Rh 0.000 0.000 0.000
9 O 0.154 0.928 0.250
10 O 0.846 0.072 0.750
11 O 0.346 0.428 0.250
12 O 0.654 0.572 0.750
13 O 0.172 0.684 0.577
14 O 0.828 0.316 0.077
15 O 0.828 0.316 0.423
16 O 0.172 0.684 0.923
17 O 0.672 0.816 0.423
18 O 0.328 0.184 0.923
19 O 0.328 0.184 0.577
20 O 0.672 0.816 0.077

Total magnetization   0.00 μB per atom
Energy with MP2020 corrections   -8.190 eV/atom
E_form   -2.482 eV per atom

***

No. 8
VASP calculation (PBE) on a relaxed structure of Na6Mg7TiS12O48.

abc: 17.372 8.677 22.567
angles: 89.97 90.02 119.92
Sites, in units of the cell vectors:
1 Na 0.321 0.642 0.750
2 Na 0.649 0.331 0.584
3 Na 0.987 0.667 0.917
4 Na 0.665 0.302 0.916
5 Na 0.167 0.029 0.417
6 Na 0.666 0.028 0.417
7 Na 0.996 0.001 0.497
8 Na 0.488 0.985 0.501
9 Na 0.002 0.013 0.999
10 Na 0.493 0.988 0.997
11 Na 0.337 0.327 0.836
12 Na 0.831 0.320 0.830
13 Na 0.339 0.343 0.333
14 Na 0.839 0.343 0.333
15 Na 0.167 0.667 0.166
16 Na 0.666 0.666 0.166
17 Na 0.166 0.672 0.664
18 Na 0.663 0.672 0.669
19 Mg 0.996 0.999 0.352
20 Mg 0.496 0.999 0.352
21 Mg 0.001 0.008 0.852
22 Mg 0.496 0.994 0.850
23 Mg 0.496 0.992 0.650
24 Mg 0.338 0.332 0.682
25 Mg 0.831 0.329 0.686
26 Mg 0.334 0.333 0.184
27 Mg 0.833 0.333 0.185
28 Mg 0.334 0.337 0.982
29 Mg 0.833 0.322 0.985
30 Mg 0.338 0.344 0.484
31 Mg 0.839 0.339 0.483
32 Mg 0.170 0.667 0.017
33 Mg 0.664 0.668 0.018
34 Mg 0.169 0.663 0.518
35 Mg 0.665 0.672 0.516
36 Mg 0.167 0.665 0.316
37 Mg 0.666 0.665 0.315
38 Mg 0.167 0.673 0.817
39 Mg 0.664 0.664 0.815
40 Ti 0.000 0.003 0.648
41 Ti 0.000 0.002 0.149
42 Ti 0.498 0.999 0.148
43 S 0.146 0.001 0.251
44 S 0.646 0.001 0.250
45 S 0.355 0.708 0.250
46 S 0.855 0.709 0.250
47 S 0.999 0.290 0.250
48 S 0.500 0.290 0.250
49 S 0.145 0.290 0.750
50 S 0.648 0.295 0.750
51 S 0.999 0.709 0.751
52 S 0.501 0.707 0.750
53 S 0.352 0.002 0.750
54 S 0.856 0.001 0.750
55 S 0.481 0.333 0.583
56 S 0.980 0.334 0.585
57 S 0.186 0.038 0.584
58 S 0.687 0.039 0.583
59 S 0.333 0.627 0.585
60 S 0.835 0.628 0.584
61 S 0.480 0.626 0.085
62 S 0.980 0.628 0.084
63 S 0.333 0.041 0.085
64 S 0.833 0.038 0.085
65 S 0.187 0.333 0.085
66 S 0.686 0.333 0.084
67 S 0.314 0.666 0.916
68 S 0.814 0.669 0.917
69 S 0.020 0.373 0.917
70 S 0.520 0.374 0.917
71 S 0.167 0.962 0.917
72 S 0.667 0.960 0.916
73 S 0.313 0.960 0.417
74 S 0.813 0.959 0.417
75 S 0.167 0.373 0.416
76 S 0.667 0.373 0.417
77 S 0.020 0.665 0.416
78 S 0.519 0.665 0.415
79 O 0.106 0.026 0.305
80 O 0.606 0.026 0.305
81 O 0.409 0.790 0.303
82 O 0.909 0.791 0.303
83 O 0.487 0.183 0.303
84 O 0.987 0.183 0.303
85 O 0.105 0.183 0.802
86 O 0.607 0.189 0.804
87 O 0.485 0.787 0.803
88 O 0.987 0.788 0.805
89 O 0.406 0.027 0.804
90 O 0.909 0.026 0.803
91 O 0.392 0.969 0.697
92 O 0.903 0.980 0.696
93 O 0.088 0.199 0.696
94 O 0.595 0.213 0.696
95 O 0.010 0.827 0.697
96 O 0.513 0.814 0.696
97 O 0.402 0.825 0.196
98 O 0.902 0.826 0.196
99 O 0.010 0.196 0.196
100 O 0.510 0.196 0.196
101 O 0.087 0.980 0.197
102 O 0.587 0.979 0.197
103 O 0.441 0.360 0.636
104 O 0.938 0.358 0.638
105 O 0.240 0.124 0.636
106 O 0.742 0.125 0.635
107 O 0.320 0.523 0.640
108 O 0.820 0.518 0.637
109 O 0.439 0.520 0.138
110 O 0.938 0.518 0.136
111 O 0.321 0.122 0.138
112 O 0.821 0.122 0.138
113 O 0.240 0.357 0.138
114 O 0.741 0.356 0.136
115 O 0.223 0.297 0.031
116 O 0.722 0.300 0.029
117 O 0.426 0.555 0.031
118 O 0.928 0.557 0.029
119 O 0.351 0.149 0.031
120 O 0.852 0.147 0.031
121 O 0.220 0.142 0.529
122 O 0.726 0.149 0.528
123 O 0.345 0.542 0.532
124 O 0.852 0.554 0.531
125 O 0.427 0.307 0.530
126 O 0.926 0.296 0.531
127 O 0.271 0.692 0.968
128 O 0.773 0.694 0.971
129 O 0.074 0.455 0.970
130 O 0.576 0.454 0.970
131 O 0.150 0.847 0.970
132 O 0.655 0.854 0.970
133 O 0.272 0.852 0.470
134 O 0.773 0.851 0.470
135 O 0.153 0.453 0.470
136 O 0.655 0.452 0.472
137 O 0.076 0.697 0.470
138 O 0.575 0.699 0.469
139 O 0.061 0.640 0.363
140 O 0.561 0.640 0.362
141 O 0.257 0.880 0.363
142 O 0.757 0.879 0.364
143 O 0.180 0.480 0.363
144 O 0.679 0.483 0.365
145 O 0.060 0.485 0.863
146 O 0.561 0.481 0.863
147 O 0.179 0.880 0.863
148 O 0.681 0.879 0.863
149 O 0.262 0.639 0.860
150 O 0.758 0.638 0.864
151 O 0.013 0.830 0.411
152 O 0.513 0.830 0.410
153 O 0.402 0.979 0.410
154 O 0.903 0.979 0.411
155 O 0.087 0.190 0.411
156 O 0.588 0.191 0.411
157 O 0.010 0.195 0.911
158 O 0.513 0.196 0.911
159 O 0.085 0.975 0.911
160 O 0.588 0.984 0.911
161 O 0.403 0.827 0.911
162 O 0.905 0.824 0.911
163 O 0.493 0.175 0.589
164 O 0.989 0.168 0.594
165 O 0.094 0.021 0.594
166 O 0.598 0.026 0.589
167 O 0.413 0.806 0.589
168 O 0.916 0.811 0.593
169 O 0.489 0.811 0.094
170 O 0.989 0.811 0.093
171 O 0.416 0.021 0.093
172 O 0.916 0.021 0.093
173 O 0.094 0.167 0.094
174 O 0.595 0.168 0.093
175 O 0.342 0.159 0.744
176 O 0.848 0.161 0.742
177 O 0.235 0.312 0.742
178 O 0.737 0.312 0.745
179 O 0.418 0.528 0.744
180 O 0.920 0.534 0.742
181 O 0.347 0.533 0.242
182 O 0.847 0.534 0.241
183 O 0.420 0.307 0.242
184 O 0.920 0.307 0.242
185 O 0.233 0.160 0.242
186 O 0.733 0.160 0.242
187 O 0.322 0.505 0.922
188 O 0.823 0.506 0.923
189 O 0.431 0.354 0.924
190 O 0.931 0.360 0.923
191 O 0.246 0.139 0.924
192 O 0.746 0.143 0.922
193 O 0.320 0.138 0.423
194 O 0.820 0.137 0.423
195 O 0.246 0.348 0.422
196 O 0.746 0.349 0.422
197 O 0.431 0.507 0.422
198 O 0.931 0.507 0.423
199 O 0.173 0.487 0.078
200 O 0.674 0.489 0.078
201 O 0.071 0.652 0.078
202 O 0.570 0.653 0.078
203 O 0.256 0.860 0.078
204 O 0.756 0.859 0.078
205 O 0.172 0.857 0.578
206 O 0.678 0.861 0.577
207 O 0.252 0.645 0.578
208 O 0.755 0.647 0.578
209 O 0.070 0.488 0.578
210 O 0.572 0.492 0.577
211 O 0.152 0.837 0.253
212 O 0.652 0.838 0.253
213 O 0.267 0.697 0.252
214 O 0.768 0.697 0.253
215 O 0.081 0.465 0.252
216 O 0.581 0.465 0.252
217 O 0.153 0.469 0.753
218 O 0.657 0.474 0.755
219 O 0.081 0.697 0.753
220 O 0.580 0.687 0.756
221 O 0.263 0.835 0.756
222 O 0.768 0.838 0.752

Total magnetization   0.00 μB per atom
Energy with MP2020 corrections   -6.590 eV/atom
E_form   -2.344 eV per atom

***

No. 9
VASP calculation (PBE) on a relaxed structure of SrTl2O4.

abc: 3.475 10.217 11.938
angles: 90.00 90.00 90.00
Sites, in units of the cell vectors:
1 Sr 0.250 0.245 0.348
2 Sr 0.750 0.755 0.652
3 Sr 0.250 0.745 0.152
4 Sr 0.750 0.255 0.848
5 Tl 0.250 0.580 0.892
6 Tl 0.750 0.420 0.108
7 Tl 0.250 0.080 0.608
8 Tl 0.750 0.920 0.392
9 Tl 0.250 0.575 0.390
10 Tl 0.750 0.425 0.610
11 Tl 0.250 0.075 0.110
12 Tl 0.750 0.925 0.890
13 O 0.250 0.588 0.574
14 O 0.750 0.412 0.426
15 O 0.250 0.088 0.926
16 O 0.750 0.912 0.074
17 O 0.250 0.479 0.220
18 O 0.750 0.521 0.780
19 O 0.250 0.979 0.280
20 O 0.750 0.021 0.720
21 O 0.250 0.875 0.525
22 O 0.750 0.125 0.475
23 O 0.250 0.375 0.975
24 O 0.750 0.625 0.025
25 O 0.750 0.711 0.321
26 O 0.250 0.289 0.679
27 O 0.750 0.211 0.179
28 O 0.250 0.789 0.821

Energy with MP2020 corrections   -5.466 eV/atom
E_form   -1.722 eV per atom

***

- Among the records above, which one has the lowest E_form?
  BaLiMg2AlSi3O10F2

***

- Which of these has the lowest energy with MP2020 corrections?
  Mg2Ti3O8